# 1
The following is a PBE-GGA calculation of crystalline Na2YInSiS2O12 at its relaxed geometry, from the Materials Project database.

Lattice parameters (Å, degrees): 9.1774 9.1882 23.4089 89.45 89.24 60.14
With the nearest neighbours (Å) after each atom.
Fractional positions:
1 Na 0.0000 0.0000 0.0000  3 O 2.39-2.58
2 Na 0.9995 0.0203 0.4960  4 O 2.43-2.72
3 Na 0.2885 0.0470 0.4077  4 O 2.36-2.53
4 Na 0.2920 0.6760 0.9127  5 O 2.39-2.61
5 Na 0.2985 0.3917 0.8289  2 O 2.33-2.41
6 Na 0.3013 0.3316 0.3242  3 O 2.39-2.57
7 Na 0.3551 0.9953 0.7314  5 O 2.40-2.68
8 Na 0.3645 0.6585 0.2358  6 O 2.46-2.63
9 Na 0.6215 0.6962 0.6607  2 O 2.32-2.38
10 Na 0.6347 0.6932 0.1617  3 O 2.40-2.56
11 Na 0.9822 0.7036 0.0689  5 O 2.36-2.60
12 Na 0.9871 0.3302 0.5670  5 O 2.38-2.64
13 Y 0.3276 0.3402 0.4776  5 O 2.11-2.32
14 Y 0.3304 0.3423 0.9820  6 O 2.12-2.34
15 Y 0.3363 0.3489 0.6805  6 O 2.16-2.36
16 Y 0.6622 0.6807 0.5125  6 O 2.18-2.35
17 Y 0.6841 0.6688 0.8121  6 O 2.10-2.34
18 Y 0.9986 0.9903 0.8497  6 O 2.11-2.36
19 In 0.0017 0.0330 0.3434  5 O 2.08-2.27
20 In 0.0232 0.9893 0.6468  4 O 2.02-2.24
21 In 0.0299 0.0009 0.1493  5 O 2.04-2.25
22 In 0.3427 0.3338 0.1797  5 O 2.06-2.26
23 In 0.6630 0.6755 0.0164  4 O 2.05-2.22
24 In 0.6798 0.6714 0.3126  4 O 2.00-2.24
25 Si 0.3107 0.7026 0.7511  4 O 1.63-1.65
26 Si 0.3176 0.0041 0.2502  4 O 1.64-1.67
27 Si 0.3314 0.0363 0.5834  4 O 1.63-1.67
28 Si 0.3379 0.6411 0.0831  4 O 1.64-1.67
29 Si 0.9641 0.3754 0.4137  4 O 1.63-1.67
30 Si 0.9653 0.6749 0.9214  4 O 1.62-1.66
31 S 0.9998 0.2994 0.7438  4 O 1.47-1.50
32 S 0.0025 0.7196 0.2466  4 O 1.48-1.50
33 S 0.0314 0.6482 0.5802  4 O 1.48-1.49
34 S 0.0316 0.3411 0.0843  4 O 1.48-1.49
35 S 0.3640 0.6797 0.4082  4 O 1.47-1.49
36 S 0.3719 0.9711 0.9124  4 O 1.47-1.50
37 S 0.6444 0.0369 0.0830  4 O 1.48-1.50
38 S 0.6457 0.3326 0.5799  4 O 1.48-1.50
39 S 0.6708 0.3776 0.9161  4 O 1.47-1.49
40 S 0.6762 0.9733 0.4094  4 O 1.48-1.49
41 S 0.7053 0.3025 0.2444  4 O 1.48-1.50
42 S 0.7056 0.0094 0.7426  4 O 1.47-1.49
43 O 0.0001 0.1978 0.0890  1 S 1.48
44 O 0.0059 0.1969 0.7939  1 S 1.48
45 O 0.0143 0.8145 0.2957  1 S 1.49
46 O 0.1171 0.5489 0.6317  1 S 1.48
47 O 0.1202 0.3562 0.1345  1 S 1.48
48 O 0.1329 0.3139 0.0316  1 S 1.48
49 O 0.1372 0.5690 0.5288  1 S 1.48
50 O 0.1503 0.0349 0.5814  1 Si 1.67
51 O 0.1580 0.5104 0.9185  1 Si 1.66
52 O 0.1592 0.8244 0.0852  1 Si 1.67
53 O 0.1603 0.3415 0.4117  1 Si 1.67
54 O 0.1622 0.3015 0.7440  1 S 1.50
55 O 0.1645 0.5550 0.2455  1 S 1.50
56 O 0.1930 0.8314 0.4072  1 S 1.49
57 O 0.1988 0.9953 0.9105  1 S 1.49
58 O 0.2117 0.7859 0.8118  1 Si 1.65
59 O 0.2145 0.0318 0.3111  1 Si 1.65
60 O 0.2142 0.8309 0.6974  1 Si 1.65
61 O 0.2299 0.9564 0.1983  1 Si 1.64
62 O 0.3115 0.5488 0.0279  1 Si 1.64
63 O 0.3133 0.1548 0.5272  1 Si 1.66
64 O 0.3283 0.5177 0.7459  1 Si 1.63
65 O 0.3320 0.1736 0.2399  1 Si 1.64
66 O 0.3408 0.1292 0.6416  1 Si 1.64
67 O 0.3511 0.5278 0.4168  1 S 1.47
68 O 0.3554 0.5335 0.1425  1 Si 1.66
69 O 0.3623 0.1352 0.9185  1 S 1.47
70 O 0.4521 0.7071 0.4565  1 S 1.49
71 O 0.4519 0.8584 0.9626  1 S 1.50
72 O 0.4569 0.6609 0.3538  1 S 1.49
73 O 0.4653 0.8929 0.8592  1 S 1.48
74 O 0.4925 0.6975 0.7497  1 Si 1.65
75 O 0.4926 0.8471 0.5787  1 Si 1.63
76 O 0.5028 0.6674 0.0777  1 Si 1.65
77 O 0.5028 0.8265 0.2534  1 Si 1.67
78 O 0.5181 0.3592 0.9195  1 S 1.49
79 O 0.5269 0.1445 0.4159  1 S 1.49
80 O 0.5298 0.3322 0.2418  1 S 1.50
81 O 0.5313 0.1543 0.7422  1 S 1.49
82 O 0.5399 0.1148 0.1344  1 S 1.48
83 O 0.5426 0.3564 0.6317  1 S 1.48
84 O 0.5583 0.3271 0.5281  1 S 1.48
85 O 0.5610 0.1303 0.0305  1 S 1.48
86 O 0.6373 0.8995 0.3595  1 S 1.49
87 O 0.6449 0.4838 0.8650  1 S 1.48
88 O 0.6734 0.8608 0.0809  1 S 1.50
89 O 0.6770 0.4780 0.5777  1 S 1.50
90 O 0.6858 0.4587 0.9684  1 S 1.48
91 O 0.6917 0.4716 0.2461  1 S 1.50
92 O 0.6924 0.8541 0.7447  1 S 1.49
93 O 0.6959 0.8730 0.4616  1 S 1.48
94 O 0.7770 0.2052 0.2976  1 S 1.48
95 O 0.7863 0.0249 0.7948  1 S 1.48
96 O 0.7993 0.0045 0.6905  1 S 1.47
97 O 0.8057 0.2123 0.1933  1 S 1.48
98 O 0.8113 0.1763 0.5833  1 S 1.49
99 O 0.8122 0.0252 0.0864  1 S 1.49
100 O 0.8225 0.2116 0.9110  1 S 1.47
101 O 0.8310 0.9829 0.4017  1 S 1.48
102 O 0.8590 0.4732 0.7473  1 S 1.47
103 O 0.8593 0.6894 0.2511  1 S 1.48
104 O 0.8639 0.4888 0.3583  1 Si 1.63
105 O 0.8642 0.6722 0.8658  1 Si 1.62
106 O 0.8678 0.6797 0.9819  1 Si 1.66
107 O 0.8685 0.5012 0.0814  1 S 1.49
108 O 0.8702 0.6471 0.5768  1 S 1.49
109 O 0.8745 0.4587 0.4749  1 Si 1.64
110 O 0.9801 0.2270 0.6900  1 S 1.48
111 O 0.9804 0.8127 0.1918  1 S 1.49
112 O 0.9838 0.1847 0.4119  1 Si 1.67
113 O 0.9923 0.8407 0.9213  1 Si 1.66
114 O 0.9985 0.8223 0.5834  1 S 1.48

Results
- Electronic total energy: -6.5177 eV/atom
- Space group: P1, No. 1
- Crystal system: triclinic

=====

# 2
The following is a PBE-GGA calculation of crystalline Na6Y2In2Si3S3O24 at its relaxed geometry, from the Materials Project database.

Lattice parameters (Å, degrees): 9.3236 9.3294 23.0730 90.08 90.10 119.97
With the nearest neighbours (Å) after each atom.
Fractional positions:
1 Na 0.0000 0.0000 0.0000  3 O 2.35-2.62
2 Na 0.0022 0.3532 0.7505  4 O 2.36-2.63
3 Na 0.0235 0.7137 0.1525  6 O 2.49-2.76
4 Na 0.0364 0.0872 0.6663  6 O 2.52-2.69
5 Na 0.3285 0.7288 0.6483  4 O 2.35-2.61
6 Na 0.3364 0.0306 0.5755  2 O 2.33-2.45
7 Na 0.3458 0.0486 0.0830  4 O 2.41-2.65
8 Na 0.3523 0.3812 0.4936  3 O 2.38-2.64
9 Na 0.3598 0.7012 0.3366  4 O 2.42-2.70
10 Na 0.6478 0.0016 0.4867  4 O 2.41-2.67
11 Na 0.6674 0.3777 0.0127  2 O 2.26-2.45
12 Na 0.6770 0.7248 0.9238  3 O 2.30-2.51
13 Na 0.6907 0.7375 0.4153  3 O 2.39-2.63
14 Na 0.6930 0.0891 0.1666  3 O 2.35-2.60
15 Na 0.7280 0.0478 0.8404  3 O 2.29-2.50
16 Na 0.9632 0.0456 0.3201  3 O 2.32-2.49
17 Na 0.9753 0.3506 0.2398  3 O 2.29-2.42
18 Na 0.9825 0.6968 0.8515  2 O 2.25-2.49
19 Y 0.0065 0.3746 0.0950  6 O 2.14-2.39
20 Y 0.3403 0.0301 0.4345  6 O 2.17-2.41
21 Y 0.6804 0.7115 0.2597  4 O 2.09-2.31
22 Y 0.6807 0.7294 0.5644  6 O 2.15-2.36
23 Y 0.6892 0.7171 0.0643  6 O 2.16-2.41
24 Y 0.9975 0.3729 0.3975  5 O 2.12-2.36
25 In 0.0052 0.3723 0.5958  4 O 2.08-2.20
26 In 0.0134 0.3702 0.9013  4 O 2.08-2.19
27 In 0.3348 0.0324 0.9326  5 O 2.05-2.28
28 In 0.3495 0.0582 0.7335  5 O 2.06-2.29
29 In 0.3669 0.0713 0.2267  4 O 2.06-2.24
30 In 0.6962 0.7362 0.7634  6 O 2.07-2.30
31 Si 0.0130 0.6793 0.9927  4 O 1.62-1.67
32 Si 0.0172 0.0827 0.5015  4 O 1.63-1.66
33 Si 0.0543 0.0541 0.8274  4 O 1.63-1.70
34 Si 0.3052 0.6745 0.5015  4 O 1.63-1.67
35 Si 0.6458 0.0438 0.3299  4 O 1.65-1.67
36 Si 0.6768 0.0281 0.6673  4 O 1.64-1.67
37 Si 0.6789 0.4069 0.1596  4 O 1.63-1.65
38 Si 0.7030 0.0747 0.9910  4 O 1.63-1.66
39 Si 0.9947 0.0215 0.1676  4 O 1.63-1.66
40 S 0.0493 0.7504 0.3271  4 O 1.48-1.49
41 S 0.3151 0.3811 0.9923  4 O 1.47-1.50
42 S 0.3449 0.3476 0.3343  4 O 1.48-1.51
43 S 0.3479 0.7471 0.8257  4 O 1.48-1.50
44 S 0.3756 0.7149 0.1668  4 O 1.48-1.49
45 S 0.3864 0.4210 0.6673  4 O 1.48-1.50
46 S 0.6499 0.3569 0.8286  4 O 1.48-1.51
47 S 0.7085 0.3806 0.5004  4 O 1.48-1.49
48 S 0.9818 0.7106 0.6683  4 O 1.48-1.51
49 O 0.0089 0.5778 0.9324  1 Si 1.67
50 O 0.0104 0.2027 0.1621  1 Si 1.63
51 O 0.0135 0.5698 0.6642  1 S 1.49
52 O 0.0242 0.2145 0.8325  1 Si 1.66
53 O 0.0284 0.5887 0.0503  1 Si 1.62
54 O 0.0392 0.1841 0.5631  1 Si 1.66
55 O 0.0412 0.5872 0.3319  1 S 1.49
56 O 0.1329 0.8540 0.3790  1 S 1.49
57 O 0.1434 0.8322 0.2742  1 S 1.48
58 O 0.1460 0.8694 0.6676  1 S 1.51
59 O 0.1476 0.0689 0.7646  1 Si 1.66
60 O 0.1491 0.0212 0.8809  1 Si 1.63
61 O 0.1636 0.8746 0.9934  1 Si 1.65
62 O 0.1691 0.0169 0.1720  1 Si 1.65
63 O 0.1914 0.0816 0.4966  1 Si 1.63
64 O 0.1943 0.3674 0.3348  1 S 1.51
65 O 0.1946 0.5850 0.8322  1 S 1.48
66 O 0.2009 0.5888 0.5620  1 Si 1.66
67 O 0.2072 0.5696 0.1610  1 S 1.48
68 O 0.2103 0.3628 0.0430  1 S 1.48
69 O 0.2101 0.5734 0.4427  1 Si 1.63
70 O 0.2229 0.4164 0.6693  1 S 1.50
71 O 0.2424 0.4017 0.9377  1 S 1.49
72 O 0.3226 0.2401 0.2834  1 S 1.49
73 O 0.3248 0.2254 0.9905  1 S 1.50
74 O 0.3271 0.8233 0.7714  1 S 1.50
75 O 0.3525 0.8697 0.5015  1 Si 1.65
76 O 0.3543 0.2474 0.6693  1 S 1.49
77 O 0.3567 0.2697 0.3887  1 S 1.48
78 O 0.3622 0.8679 0.1656  1 S 1.49
79 O 0.3819 0.8608 0.8758  1 S 1.49
80 O 0.4454 0.7006 0.2234  1 S 1.49
81 O 0.4733 0.4943 0.6123  1 S 1.48
82 O 0.4833 0.5242 0.9978  1 S 1.47
83 O 0.4840 0.6747 0.5016  1 Si 1.67
84 O 0.4854 0.5216 0.7177  1 S 1.49
85 O 0.4865 0.7283 0.1189  1 S 1.48
86 O 0.4922 0.5159 0.3300  1 S 1.49
87 O 0.4969 0.7260 0.8221  1 S 1.50
88 O 0.5003 0.0313 0.6729  1 Si 1.67
89 O 0.5274 0.2127 0.1608  1 Si 1.65
90 O 0.5312 0.0848 0.9858  1 Si 1.65
91 O 0.5414 0.0419 0.2721  1 Si 1.65
92 O 0.5437 0.2274 0.4956  1 S 1.49
93 O 0.5478 0.0359 0.3902  1 Si 1.65
94 O 0.5558 0.2805 0.8820  1 S 1.48
95 O 0.5694 0.2498 0.7769  1 S 1.49
96 O 0.6412 0.9053 0.6114  1 Si 1.64
97 O 0.6580 0.8709 0.3322  1 Si 1.67
98 O 0.6649 0.4896 0.0994  1 Si 1.63
99 O 0.6691 0.5256 0.8221  1 S 1.50
100 O 0.6813 0.5229 0.5056  1 S 1.48
101 O 0.6808 0.8909 0.9982  1 Si 1.63
102 O 0.6831 0.5182 0.2147  1 Si 1.63
103 O 0.7175 0.9467 0.7248  1 Si 1.66
104 O 0.7883 0.3588 0.5529  1 S 1.49
105 O 0.7970 0.1928 0.0469  1 Si 1.64
106 O 0.8080 0.4036 0.4478  1 S 1.48
107 O 0.8175 0.1499 0.9316  1 Si 1.66
108 O 0.8210 0.3780 0.8305  1 S 1.51
109 O 0.8355 0.2039 0.3269  1 Si 1.65
110 O 0.8384 0.6862 0.9922  1 Si 1.66
111 O 0.8499 0.2103 0.6619  1 Si 1.66
112 O 0.8497 0.8989 0.5014  1 Si 1.64
113 O 0.8537 0.4022 0.1626  1 Si 1.65
114 O 0.8661 0.8791 0.8285  1 Si 1.70
115 O 0.8784 0.9367 0.2256  1 Si 1.66
116 O 0.8798 0.7292 0.3271  1 S 1.49
117 O 0.8861 0.7196 0.6186  1 S 1.48
118 O 0.8910 0.6916 0.7236  1 S 1.49
119 O 0.9034 0.9040 0.1102  1 Si 1.65
120 O 0.9886 0.1766 0.4463  1 Si 1.64

Results
- Electronic total energy: -6.4864 eV/atom
- Space group: P1, No. 1
- Crystal system: triclinic

=====

# 3
The following is a PBE-GGA calculation of crystalline Na4YInSi2SO12 at its relaxed geometry, from the Materials Project database.

Lattice parameters (Å, degrees): 9.3979 9.4029 23.0906 89.89 89.97 60.27
With the nearest neighbours (Å) after each atom.
Fractional positions:
1 Na 0.0000 0.0000 0.0000  5 O 2.47-2.75
2 Na 0.0001 0.3531 0.2465  4 O 2.50-2.63
3 Na 0.0056 0.0460 0.6712  5 O 2.53-2.78
4 Na 0.0368 0.6828 0.1523  5 O 2.50-2.79
5 Na 0.2711 0.0626 0.1668  6 O 2.50-2.80
6 Na 0.2909 0.4324 0.6564  4 O 2.47-2.64
7 Na 0.2958 0.7260 0.0780  4 O 2.48-2.59
8 Na 0.3211 0.0685 0.8356  5 O 2.51-2.74
9 Na 0.3332 0.6904 0.5803  4 O 2.49-2.65
10 Na 0.3352 0.3330 0.3356  5 O 2.51-2.73
11 Na 0.3397 0.3820 0.0017  5 O 2.54-2.73
12 Na 0.3688 0.0143 0.4864  4 O 2.45-2.70
13 Na 0.6044 0.3992 0.4996  3 O 2.42-2.59
14 Na 0.6212 0.7633 0.9871  4 O 2.48-2.60
15 Na 0.6273 0.0613 0.4141  4 O 2.44-2.58
16 Na 0.6544 0.3939 0.1691  4 O 2.49-2.76
17 Na 0.6637 0.6685 0.6699  5 O 2.50-2.71
18 Na 0.6659 0.0257 0.9134  4 O 2.46-2.60
19 Na 0.6680 0.7139 0.3370  4 O 2.49-2.76
20 Na 0.7026 0.3473 0.8218  5 O 2.48-2.77
21 Na 0.9405 0.7262 0.8344  6 O 2.51-2.76
22 Na 0.9556 0.0974 0.3205  4 O 2.48-2.60
23 Na 0.9631 0.3940 0.7486  4 O 2.47-2.62
24 Na 0.9907 0.7283 0.5021  5 O 2.48-2.77
25 Y 0.0013 0.3745 0.0938  5 O 2.11-2.35
26 Y 0.3226 0.7157 0.2297  6 O 2.16-2.33
27 Y 0.6460 0.0607 0.2632  5 O 2.11-2.35
28 Y 0.6582 0.0518 0.5660  6 O 2.16-2.33
29 Y 0.9806 0.3972 0.5968  4 O 2.12-2.29
30 Y 0.9892 0.3844 0.3986  6 O 2.16-2.33
31 In 0.3093 0.7379 0.9276  4 O 2.05-2.17
32 In 0.3229 0.7182 0.7334  6 O 2.09-2.33
33 In 0.3439 0.7021 0.4288  4 O 2.06-2.15
34 In 0.6564 0.0499 0.0628  6 O 2.09-2.33
35 In 0.6768 0.0348 0.7635  4 O 2.06-2.18
36 In 0.9915 0.3837 0.8978  6 O 2.10-2.31
37 Si 0.0216 0.0200 0.8299  4 O 1.64-1.67
38 Si 0.2927 0.3872 0.4955  4 O 1.63-1.67
39 Si 0.2949 0.0798 0.9950  4 O 1.63-1.66
40 Si 0.3212 0.0130 0.3316  4 O 1.63-1.65
41 Si 0.3557 0.3496 0.1605  4 O 1.64-1.65
42 Si 0.6196 0.7156 0.8302  4 O 1.64-1.67
43 Si 0.6258 0.4123 0.3297  4 O 1.64-1.65
44 Si 0.6509 0.3513 0.6673  4 O 1.64-1.66
45 Si 0.6808 0.6905 0.4958  4 O 1.64-1.65
46 Si 0.9523 0.0485 0.1616  4 O 1.64-1.65
47 Si 0.9634 0.7468 0.6655  4 O 1.64-1.66
48 Si 0.9897 0.6844 0.9943  4 O 1.63-1.67
49 S 0.0247 0.7168 0.3314  4 O 1.48-1.49
50 S 0.3228 0.4186 0.8305  4 O 1.48-1.50
51 S 0.3583 0.0483 0.6654  4 O 1.48-1.49
52 S 0.6557 0.7510 0.1623  4 O 1.48
53 S 0.6879 0.3836 0.9951  4 O 1.48-1.49
54 S 0.9922 0.0789 0.4969  4 O 1.47-1.49
55 O 0.0092 0.2023 0.8356  1 Si 1.67
56 O 0.0115 0.5655 0.3351  1 S 1.49
57 O 0.0153 0.1578 0.5490  1 S 1.49
58 O 0.0151 0.5770 0.0530  1 Si 1.63
59 O 0.0958 0.9011 0.8866  1 Si 1.64
60 O 0.1015 0.7415 0.3837  1 S 1.48
61 O 0.1247 0.6958 0.2791  1 S 1.48
62 O 0.1365 0.9140 0.4915  1 S 1.47
63 O 0.1365 0.9380 0.7720  1 Si 1.65
64 O 0.1388 0.8882 0.1632  1 Si 1.65
65 O 0.1439 0.7369 0.6714  1 Si 1.66
66 O 0.1614 0.1991 0.3335  1 Si 1.65
67 O 0.1643 0.6898 0.9892  1 Si 1.67
68 O 0.1692 0.3743 0.1592  1 Si 1.65
69 O 0.1717 0.4040 0.8346  1 S 1.50
70 O 0.1787 0.1599 0.0517  1 Si 1.63
71 O 0.1822 0.4087 0.5534  1 Si 1.64
72 O 0.1918 0.1921 0.6591  1 S 1.48
73 O 0.2094 0.1958 0.9374  1 Si 1.65
74 O 0.2101 0.3549 0.4384  1 Si 1.63
75 O 0.2931 0.5641 0.4916  1 Si 1.67
76 O 0.2944 0.9305 0.2735  1 Si 1.63
77 O 0.2992 0.5185 0.7778  1 S 1.48
78 O 0.3191 0.8930 0.9929  1 Si 1.66
79 O 0.3364 0.9057 0.3904  1 Si 1.65
80 O 0.3419 0.5310 0.1637  1 Si 1.65
81 O 0.3456 0.8964 0.6687  1 S 1.49
82 O 0.3490 0.4949 0.8826  1 S 1.48
83 O 0.4341 0.0742 0.7175  1 S 1.48
84 O 0.4367 0.2366 0.2183  1 Si 1.64
85 O 0.4587 0.0281 0.6130  1 S 1.49
86 O 0.4683 0.2508 0.8252  1 S 1.50
87 O 0.4702 0.2620 0.1032  1 Si 1.65
88 O 0.4778 0.0661 0.9999  1 Si 1.66
89 O 0.4790 0.2283 0.4993  1 Si 1.65
90 O 0.4882 0.5374 0.6706  1 Si 1.66
91 O 0.4949 0.0171 0.3304  1 Si 1.65
92 O 0.4951 0.7122 0.4955  1 Si 1.65
93 O 0.5055 0.7370 0.1668  1 S 1.48
94 O 0.5085 0.4902 0.3871  1 Si 1.65
95 O 0.5094 0.7406 0.8887  1 Si 1.65
96 O 0.5210 0.5304 0.9896  1 S 1.49
97 O 0.5391 0.5239 0.2723  1 Si 1.64
98 O 0.5400 0.6800 0.7725  1 Si 1.64
99 O 0.6200 0.2724 0.6089  1 Si 1.64
100 O 0.6256 0.8903 0.8255  1 Si 1.67
101 O 0.6332 0.8520 0.1100  1 S 1.48
102 O 0.6508 0.2260 0.3285  1 Si 1.65
103 O 0.6665 0.8717 0.5004  1 Si 1.64
104 O 0.6716 0.2380 0.7247  1 Si 1.65
105 O 0.6733 0.2337 0.9993  1 S 1.49
106 O 0.6802 0.8265 0.2148  1 S 1.48
107 O 0.7634 0.4089 0.0475  1 S 1.48
108 O 0.7681 0.5721 0.5522  1 Si 1.64
109 O 0.7906 0.3608 0.9432  1 S 1.48
110 O 0.7911 0.6048 0.4380  1 Si 1.64
111 O 0.8006 0.5851 0.1570  1 S 1.48
112 O 0.8062 0.5531 0.8347  1 Si 1.66
113 O 0.8068 0.3995 0.3331  1 Si 1.65
114 O 0.8235 0.3581 0.6639  1 Si 1.66
115 O 0.8266 0.8706 0.9984  1 Si 1.66
116 O 0.8341 0.0452 0.8275  1 Si 1.66
117 O 0.8411 0.0663 0.5012  1 S 1.49
118 O 0.8414 0.8230 0.7217  1 Si 1.64
119 O 0.8493 0.0639 0.2205  1 Si 1.64
120 O 0.8587 0.8600 0.3259  1 S 1.48
121 O 0.8682 0.0172 0.1038  1 Si 1.65
122 O 0.8813 0.8593 0.6076  1 Si 1.64
123 O 0.9529 0.6010 0.9376  1 Si 1.65
124 O 0.9575 0.2217 0.1592  1 Si 1.65
125 O 0.9693 0.1816 0.4449  1 S 1.49
126 O 0.9898 0.5600 0.6620  1 Si 1.65

Results
- Electronic total energy: -6.4655 eV/atom
- Space group: P1, No. 1
- Crystal system: triclinic

=====

Number 1: magnetization 0.000 μB per atom. Number 2: magnetization 0.000 μB per atom. Number 3: magnetization 0.000 μB per atom.